YMg4Cu, relaxed, DFT PBE-GGA; energy relative to the elements = -124 meV/atom; space group = Cmmm
1.0
6.622 -9.970 0.000
6.622 9.970 0.000
0.000 0.000 4.047
Y Mg Cu
4 16 4
direct
0.133 0.867 0.000 Y
0.199 0.199 0.000 Y
0.801 0.801 0.000 Y
0.867 0.133 0.000 Y
0.000 0.000 0.500 Mg
0.087 0.423 0.000 Mg
0.125 0.635 0.500 Mg
0.289 0.450 0.500 Mg
0.335 0.665 0.000 Mg
0.365 0.875 0.500 Mg
0.423 0.087 0.000 Mg
0.450 0.289 0.500 Mg
0.500 0.500 0.000 Mg
0.550 0.711 0.500 Mg
0.577 0.913 0.000 Mg
0.635 0.125 0.500 Mg
0.665 0.335 0.000 Mg
0.711 0.550 0.500 Mg
0.875 0.365 0.500 Mg
0.913 0.577 0.000 Mg
0.054 0.265 0.500 Cu
0.265 0.054 0.500 Cu
0.735 0.946 0.500 Cu
0.946 0.735 0.500 Cu